A plane-wave DFT calculation with r²SCAN was carried out for a relaxed structure of HoGaO3.

Total magnetic moment in μB/cell: 0.0
Formation enthalpy at 0 K in kJ/mol of formula units: -1467

Geometry as POSCAR:
```
HoGaO3
1.0
3.0067 -5.2077 0.0000
3.0067 5.2077 0.0000
0.0000 0.0000 11.6363
O Ho Ga
18 6 6
direct
0.6396 0.6396 0.8353
0.0000 0.3604 0.8353
0.3333 0.6667 0.0156
0.6941 0.6941 0.1595
0.3604 0.0000 0.8353
0.3059 0.0000 0.1595
0.6667 0.3333 0.5156
0.0000 0.0000 0.9745
0.6667 0.3333 0.0156
0.3333 0.6667 0.5156
0.0000 0.6941 0.6595
0.6941 0.0000 0.6595
0.3604 0.3604 0.3353
0.6396 0.0000 0.3353
0.3059 0.3059 0.6595
0.0000 0.0000 0.4745
0.0000 0.3059 0.1595
0.0000 0.6396 0.3353
0.3333 0.6667 0.2298
0.0000 0.0000 0.2716
0.6667 0.3333 0.2298
0.0000 0.0000 0.7716
0.3333 0.6667 0.7298
0.6667 0.3333 0.7298
0.0000 0.3342 0.9968
0.3342 0.0000 0.9968
0.0000 0.6659 0.4968
0.6659 0.6659 0.9968
0.6659 0.0000 0.4968
0.3341 0.3341 0.4968
```